## Ga7Cu3Se12 (PBE)

Data for Ga7Cu3Se12 after structural relaxation.

POSCAR file:
```
Ga7Cu3Se12
1.0
1.959 10.424 0.000
-1.959 10.424 0.000
0.000 8.899 13.028
Ga Se Cu
7 12 3
direct
0.332 0.332 0.491 Ga
0.004 0.004 0.997 Ga
0.340 0.340 0.248 Ga
0.669 0.669 0.239 Ga
0.671 0.671 0.994 Ga
0.003 0.003 0.499 Ga
0.995 0.995 0.754 Ga
0.751 0.751 0.060 Se
0.748 0.748 0.314 Se
0.412 0.412 0.568 Se
0.413 0.413 0.818 Se
0.085 0.085 0.562 Se
0.079 0.079 0.072 Se
0.079 0.079 0.310 Se
0.751 0.751 0.811 Se
0.420 0.420 0.310 Se
0.745 0.745 0.570 Se
0.412 0.412 0.059 Se
0.085 0.085 0.810 Se
0.666 0.666 0.502 Cu
0.666 0.666 0.756 Cu
0.330 0.330 0.758 Cu
```

Energy of formation from the pure elements (kJ/mol of formula units): -1588
Volume (Å³ per cell): 532.19

## SmSi2Ni2 (PBE)

Data for SmSi2Ni2 after structural relaxation.

POSCAR file:
```
SmSi2Ni2
1.0
-1.520 -2.453 -2.797
-0.052 -3.007 2.665
-3.644 3.973 1.382
Si Ni Sm
2 2 1
direct
0.371 0.371 0.742 Si
0.629 0.629 0.258 Si
0.250 0.750 0.500 Ni
0.750 0.250 0.500 Ni
0.000 0.000 0.000 Sm
```

Energy of formation from the pure elements (kJ/mol of formula units): -403
Volume (Å³ per cell): 77.29

## LaNi2AsN (PBE)

Data for LaNi2AsN after structural relaxation.

POSCAR file:
```
LaNi2AsN
1.0
1.852 -5.703 0.000
1.852 5.703 0.000
0.000 0.000 6.993
La Ni N As
2 4 2 2
direct
0.462 0.538 0.750 La
0.538 0.462 0.250 La
0.168 0.832 0.947 Ni
0.168 0.832 0.553 Ni
0.832 0.168 0.053 Ni
0.832 0.168 0.447 Ni
0.000 0.000 0.000 N
0.000 0.000 0.500 N
0.268 0.732 0.250 As
0.732 0.268 0.750 As
```

Energy of formation from the pure elements (kJ/mol of formula units): -402
Volume (Å³ per cell): 147.74

## Mg2TiNi3S8 (PBE)

Data for Mg2TiNi3S8 after structural relaxation.

POSCAR file:
```
Mg2TiNi3S8
1.0
-6.712 2.370 -0.730
-5.374 -4.579 -0.350
-4.607 -0.572 5.435
Mg Ti S Ni
2 1 8 3
direct
0.125 0.124 0.126 Mg
0.875 0.876 0.874 Mg
0.500 0.000 0.500 Ti
0.268 0.696 0.268 S
0.732 0.304 0.732 S
0.708 0.275 0.259 S
0.741 0.725 0.292 S
0.258 0.275 0.259 S
0.742 0.725 0.741 S
0.292 0.725 0.741 S
0.259 0.275 0.708 S
0.000 0.500 0.500 Ni
0.500 0.500 0.000 Ni
0.500 0.500 0.500 Ni
```

Energy of formation from the pure elements (kJ/mol of formula units): -1316
Volume (Å³ per cell): 254.58

## Ba4CN4 (PBE)

Data for Ba4CN4 after structural relaxation.

POSCAR file:
```
Ba4CN4
1.0
13.190 0.000 0.000
0.000 4.060 0.000
0.000 0.000 15.623
Ba N C
16 16 4
direct
0.585 0.750 0.680 Ba
0.140 0.250 0.048 Ba
0.177 0.750 0.254 Ba
0.415 0.250 0.320 Ba
0.401 0.750 0.096 Ba
0.677 0.750 0.246 Ba
0.860 0.750 0.952 Ba
0.599 0.250 0.904 Ba
0.901 0.750 0.404 Ba
0.099 0.250 0.596 Ba
0.640 0.250 0.452 Ba
0.360 0.750 0.548 Ba
0.085 0.750 0.820 Ba
0.323 0.250 0.754 Ba
0.823 0.250 0.746 Ba
0.915 0.250 0.180 Ba
0.706 0.750 0.830 N
0.254 0.750 0.941 N
0.462 0.250 0.641 N
0.246 0.250 0.441 N
0.206 0.750 0.670 N
0.069 0.250 0.385 N
0.746 0.250 0.059 N
0.794 0.250 0.330 N
0.931 0.750 0.615 N
0.569 0.250 0.115 N
0.038 0.750 0.141 N
0.538 0.750 0.359 N
0.431 0.750 0.885 N
0.754 0.750 0.559 N
0.294 0.250 0.170 N
0.962 0.250 0.859 N
0.658 0.250 0.088 C
0.158 0.250 0.412 C
0.342 0.750 0.912 C
0.842 0.750 0.588 C
```

Energy of formation from the pure elements (kJ/mol of formula units): -634
Volume (Å³ per cell): 836.65

## Y2MgSe4 (PBE)

Data for Y2MgSe4 after structural relaxation.

POSCAR file:
```
Y2MgSe4
1.0
4.240 -3.863 4.911
-5.691 3.099 3.876
-2.652 -4.583 -5.383
Y Se Mg
4 8 2
direct
0.375 0.494 0.619 Y
0.244 0.625 0.119 Y
0.506 0.125 0.881 Y
0.875 0.756 0.381 Y
0.508 0.378 0.262 Se
0.128 0.758 0.762 Se
0.634 0.872 0.630 Se
0.754 0.492 0.870 Se
0.996 0.366 0.238 Se
0.116 0.246 0.738 Se
0.622 0.884 0.130 Se
0.242 0.004 0.370 Se
0.750 0.250 0.500 Mg
0.000 0.000 0.000 Mg
```

Energy of formation from the pure elements (kJ/mol of formula units): -1273
Excess energy over the best structure of this formula in the dataset (meV per atom): 87
Volume (Å³ per cell): 331.12

## K3LuCl6 (PBE)

Data for K3LuCl6 after structural relaxation.

POSCAR file:
```
K3LuCl6
1.0
3.783 -6.824 0.818
3.946 -1.530 6.606
-2.691 -5.400 5.015
K Cl Lu
3 6 1
direct
0.750 0.750 0.750 K
0.500 0.500 0.500 K
0.250 0.250 0.250 K
0.232 0.768 0.768 Cl
0.768 0.232 0.768 Cl
0.232 0.768 0.232 Cl
0.232 0.232 0.768 Cl
0.768 0.232 0.232 Cl
0.768 0.768 0.232 Cl
0.000 0.000 0.000 Lu
```

Energy of formation from the pure elements (kJ/mol of formula units): -2347
Volume (Å³ per cell): 341.43

## TiAlO3 (PBE)

Data for TiAlO3 after structural relaxation.

POSCAR file:
```
TiAlO3
1.0
5.498 0.007 0.000
-2.743 4.761 0.000
0.000 0.000 12.002
Al O Ti
6 18 6
direct
0.663 0.334 0.252 Al
0.000 0.001 0.751 Al
0.999 0.000 0.251 Al
0.667 0.336 0.752 Al
0.336 0.667 0.752 Al
0.334 0.663 0.252 Al
0.666 0.299 0.503 O
0.302 0.671 0.503 O
0.036 0.034 0.499 O
0.699 0.331 0.003 O
0.994 0.663 0.327 O
0.965 0.964 0.000 O
0.006 0.335 0.827 O
0.662 0.662 0.174 O
0.337 0.338 0.674 O
0.995 0.668 0.677 O
0.335 0.005 0.827 O
0.659 0.659 0.829 O
0.666 0.995 0.327 O
0.341 0.342 0.329 O
0.005 0.331 0.176 O
0.670 0.996 0.677 O
0.332 0.699 0.003 O
0.331 0.004 0.177 O
0.669 0.958 0.501 Ti
0.044 0.332 0.002 Ti
0.621 0.621 0.002 Ti
0.332 0.043 0.001 Ti
0.378 0.380 0.503 Ti
0.956 0.666 0.501 Ti
```

Energy of formation from the pure elements (kJ/mol of formula units): -1509
Volume (Å³ per cell): 314.38